! GGA-PBE HfSiW, relaxed; values from VASP
! crystal system	orthorhombic
! SG	Pnma, No. 62
&SYSTEM
  ibrav = 0, nat = 12, ntyp = 3
/
ATOMIC_SPECIES
Hf 178.49 Hf.upf
Si 28.09 Si.upf
W 183.84 W.upf
ATOMIC_POSITIONS crystal
Hf 0.2500 0.5418 0.1675
Hf 0.7500 0.9582 0.6675
Hf 0.2500 0.0418 0.3325
Hf 0.7500 0.4582 0.8325
Si 0.2500 0.2561 0.6383
Si 0.7500 0.7439 0.3617
Si 0.7500 0.2439 0.1383
Si 0.2500 0.7561 0.8617
W 0.7500 0.3661 0.4380
W 0.7500 0.8661 0.0620
W 0.2500 0.1339 0.9380
W 0.2500 0.6339 0.5620
CELL_PARAMETERS angstrom
-3.1281 1.4651 -0.7133
-3.1652 -4.9651 3.6824
0.6201 4.6095 6.7481

! GGA-PBE HfSiW, relaxed; values from VASP
! crystal system	orthorhombic
! SG	Amm2, No. 38
&SYSTEM
  ibrav = 0, nat = 12, ntyp = 3
/
ATOMIC_SPECIES
Si 28.09 Si.upf
Hf 178.49 Hf.upf
W 183.84 W.upf
ATOMIC_POSITIONS crystal
Si 0.1779 0.8208 0.7500
Si 0.1779 0.3571 0.7500
Si 0.9859 0.9930 0.4971
Si 0.9859 0.9930 0.0029
Hf 0.6670 0.3335 0.9354
Hf 0.3349 0.6675 0.4380
Hf 0.6670 0.3335 0.5646
Hf 0.3349 0.6675 0.0620
W 0.8246 0.1670 0.2500
W 0.3332 0.1666 0.2500
W 0.8246 0.6576 0.2500
W 0.6860 0.8430 0.7500
CELL_PARAMETERS angstrom
-2.5771 -4.5540 0.0000
-2.6551 4.5990 0.0000
0.0000 0.0000 -8.5437

! GGA-PBE Sm3Hf, relaxed; values from VASP
! E above lowest polymorph	0	meV/atom
! crystal system	cubic
! SG	Pm-3m, No. 221
&SYSTEM
  ibrav = 0, nat = 4, ntyp = 2
/
ATOMIC_SPECIES
Sm 150.36 Sm.upf
Hf 178.49 Hf.upf
ATOMIC_POSITIONS crystal
Sm 0.5000 0.0000 0.5000
Sm 0.5000 0.5000 0.0000
Sm 0.0000 0.5000 0.5000
Hf 0.0000 0.0000 0.0000
CELL_PARAMETERS angstrom
-2.3733 -4.1281 -1.3279
4.1479 -2.6026 0.6772
-1.2646 -0.7891 4.7133

! GGA-PBE Sm3Hf, relaxed; values from VASP
! E above lowest polymorph	5	meV/atom
! crystal system	tetragonal
! SG	I4/mmm, No. 139
&SYSTEM
  ibrav = 0, nat = 4, ntyp = 2
/
ATOMIC_SPECIES
Sm 150.36 Sm.upf
Hf 178.49 Hf.upf
ATOMIC_POSITIONS crystal
Sm 0.2500 0.7500 0.5000
Sm 0.5000 0.5000 0.0000
Sm 0.7500 0.2500 0.5000
Hf 0.0000 0.0000 0.0000
CELL_PARAMETERS angstrom
5.4339 -1.8115 -1.8446
4.2102 2.8480 3.2208
-4.8814 -3.0974 1.6701

no.,DFT formation energy (eV/atom)
1,-0.6268
2,-0.3476
3,0.1749
4,0.1803